No. 1
A relaxed structure of LiCrS2O8, computed with GGA+U.

Calculated values
DFT formation energy: -2.08 eV per atom
crystal system: triclinic

```
data_LiCrS2O8
_chemical_formula_sum 'Li3 Cr3 S6 O24'
_cell_length_a 8.318
_cell_length_b 8.342
_cell_length_c 8.878
_cell_angle_alpha 62.15
_cell_angle_beta 62.37
_cell_angle_gamma 60.16
_space_group_name_H-M_alt 'P 1'
_space_group_IT_number 1
loop_
_space_group_symop_operation_xyz
'x,y,z'
loop_
_atom_site_label
_atom_site_fract_x
_atom_site_fract_y
_atom_site_fract_z
Li1 0.000 0.000 0.000
Li2 0.180 0.589 0.307
Li3 0.583 0.670 0.999
Cr1 0.465 0.883 0.440
Cr2 0.669 0.092 0.821
Cr3 0.983 0.395 0.907
S1 0.075 0.197 0.617
S2 0.278 0.994 0.118
S3 0.364 0.494 0.617
S4 0.576 0.280 0.116
S5 0.781 0.783 0.616
S6 0.865 0.698 0.120
O1 0.058 0.614 0.134
O2 0.101 0.201 0.776
O3 0.121 0.347 0.456
O4 0.157 0.203 0.068
O5 0.173 0.525 0.766
O6 0.193 0.873 0.126
O7 0.204 0.996 0.607
O8 0.306 0.940 0.291
O9 0.338 0.538 0.450
O10 0.449 0.622 0.606
O11 0.463 0.478 0.126
O12 0.477 0.952 0.978
O13 0.497 0.287 0.669
O14 0.524 0.134 0.288
O15 0.540 0.264 0.974
O16 0.579 0.864 0.607
O17 0.710 0.726 0.289
O18 0.788 0.594 0.775
O19 0.791 0.239 0.068
O20 0.801 0.917 0.668
O21 0.826 0.577 0.066
O22 0.846 0.897 0.977
O23 0.869 0.219 0.667
O24 0.930 0.749 0.455
```


No. 2
A relaxed structure of LiCrS2O8, computed with GGA+U.

Calculated values
DFT formation energy: -2.08 eV per atom
crystal system: monoclinic

```
data_LiCrS2O8
_chemical_formula_sum 'Li8 Cr8 S16 O64'
_cell_length_a 9.159
_cell_length_b 9.000
_cell_length_c 13.670
_cell_angle_alpha 90.00
_cell_angle_beta 90.33
_cell_angle_gamma 90.00
_space_group_name_H-M_alt 'P 1 c 1'
_space_group_IT_number 7
loop_
_space_group_symop_operation_xyz
'x,y,z'
'x,-y,z+1/2'
loop_
_atom_site_label
_atom_site_fract_x
_atom_site_fract_y
_atom_site_fract_z
Li1 0.000 0.023 0.000
Li2 0.192 0.301 0.999
Li3 0.513 0.035 0.757
Li4 0.908 0.459 0.250
Cr1 0.099 0.146 0.751
Cr2 0.325 0.356 0.253
Cr3 0.599 0.145 0.003
Cr4 0.817 0.353 0.504
S1 0.038 0.186 0.351
S2 0.120 0.435 0.617
S3 0.299 0.063 0.116
S4 0.387 0.316 0.850
S5 0.535 0.185 0.406
S6 0.619 0.436 0.137
S7 0.799 0.065 0.638
S8 0.883 0.315 0.902
O1 0.042 0.016 0.350
O2 0.147 0.475 0.209
O3 0.160 0.278 0.640
O4 0.190 0.243 0.346
O5 0.198 0.488 0.533
O6 0.213 0.021 0.031
O7 0.230 0.258 0.848
O8 0.262 0.223 0.139
O9 0.272 0.025 0.707
O10 0.382 0.481 0.848
O11 0.435 0.278 0.953
O12 0.442 0.241 0.481
O13 0.459 0.450 0.155
O14 0.460 0.047 0.101
O15 0.475 0.250 0.775
O16 0.481 0.215 0.301
O17 0.545 0.015 0.403
O18 0.649 0.475 0.546
O19 0.656 0.278 0.112
O20 0.689 0.243 0.409
O21 0.705 0.481 0.221
O22 0.717 0.016 0.722
O23 0.734 0.254 0.909
O24 0.761 0.221 0.614
O25 0.774 0.026 0.047
O26 0.880 0.482 0.905
O27 0.938 0.282 0.801
O28 0.944 0.246 0.275
O29 0.956 0.448 0.605
O30 0.962 0.049 0.653
O31 0.980 0.252 0.977
O32 0.982 0.216 0.453
```


No. 3
A relaxed structure of Li2CrS2O8, computed with GGA+U.

Calculated values
DFT formation energy: -2.14 eV per atom
crystal system: orthorhombic

```
data_Li2CrS2O8
_chemical_formula_sum 'Li16 Cr8 S16 O64'
_cell_length_a 9.423
_cell_length_b 9.448
_cell_length_c 13.981
_cell_angle_alpha 90.00
_cell_angle_beta 90.00
_cell_angle_gamma 90.00
_space_group_name_H-M_alt 'P b c a'
_space_group_IT_number 61
loop_
_space_group_symop_operation_xyz
'x,y,z'
'-x,-y,-z'
'-x+1/2,-y,z+1/2'
'x+1/2,y,-z+1/2'
'x+1/2,-y+1/2,-z'
'-x+1/2,y+1/2,z'
'-x,y+1/2,-z+1/2'
'x,-y+1/2,z+1/2'
loop_
_atom_site_label
_atom_site_fract_x
_atom_site_fract_y
_atom_site_fract_z
Li1 0.033 0.220 0.125
Li2 0.223 0.546 0.627
Cr1 0.140 0.103 0.375
S1 0.070 0.068 0.770
S2 0.165 0.691 0.010
O1 0.008 0.703 0.021
O2 0.018 0.032 0.670
O3 0.019 0.501 0.656
O4 0.067 0.225 0.774
O5 0.195 0.731 0.419
O6 0.209 0.540 0.000
O7 0.219 0.015 0.774
O8 0.243 0.748 0.592
```